# KCu2BiS3 GGA-PBE optimized geometry
data_KCu2BiS3
_cell_length_a 6.5452
_cell_length_b 9.3221
_cell_length_c 10.7388
_cell_angle_alpha 90.64
_cell_angle_beta 90.63
_cell_angle_gamma 90.76
_symmetry_space_group_name_H-M 'P 1'
_symmetry_Int_Tables_number 1
_symmetry_space_group_name_Hall 'P 1'
loop_
_atom_site_label
_atom_site_fract_x
_atom_site_fract_y
_atom_site_fract_z
Bi1 0.5353 0.3218 0.8474
S1 0.3759 0.4234 0.3608
S2 0.6241 0.5766 0.6392
Bi2 0.4647 0.6782 0.1526
S3 0.8862 0.1888 0.8323
Bi3 0.9738 0.4564 0.3494
S4 0.1582 0.5792 0.8786
K1 0.7014 0.9295 0.6274
S5 0.1571 0.7809 0.5421
S6 0.6391 0.8079 0.3442
K2 0.2986 0.0705 0.3726
S7 0.8429 0.2191 0.4579
Cu1 0.5724 0.3469 0.5448
Cu2 0.9291 0.6475 0.0399
K3 0.7912 0.0654 0.1254
K4 0.2088 0.9346 0.8746
S8 0.8418 0.4208 0.1214
Cu3 0.9823 0.7697 0.3584
Cu4 0.4936 0.6267 0.8297
S9 0.3609 0.1921 0.6558
S10 0.1138 0.8112 0.1677
Cu5 0.5064 0.3733 0.1703
Cu6 0.0709 0.3525 0.9601
Cu7 0.0177 0.2303 0.6416
S11 0.3412 0.2183 0.0427
Cu8 0.4276 0.6531 0.4552
S12 0.6588 0.7817 0.9573
Bi4 0.0262 0.5436 0.6506
# ΔH_f (0 K): -0.69 eV per atom
# Energy with MP2020 corrections: -0.3199 Ry/atom
# Final energy: -4.137 eV/atom
# Theoretical density: 4.78 g cm⁻³

# Fe3Ni3P2 GGA-PBE optimized geometry
data_Fe3Ni3P2
_cell_length_a 6.7069
_cell_length_b 6.7069
_cell_length_c 8.9628
_cell_angle_alpha 48.19
_cell_angle_beta 48.19
_cell_angle_gamma 38.28
_symmetry_space_group_name_H-M 'P 1'
_symmetry_Int_Tables_number 1
_symmetry_space_group_name_Hall 'P 1'
loop_
_atom_site_label
_atom_site_fract_x
_atom_site_fract_y
_atom_site_fract_z
Ni1 0.0320 0.5277 0.0505
Ni2 0.9181 0.4222 0.6101
Fe1 0.9897 0.9443 0.6701
P1 0.5632 0.5303 0.2430
Ni3 0.4723 0.9680 0.9495
Ni4 0.3426 0.3840 0.6058
Ni5 0.5778 0.0819 0.3899
Fe2 0.6630 0.1249 0.0282
Fe3 0.8751 0.3370 0.9718
P2 0.7746 0.8079 0.6604
Fe4 0.0557 0.0103 0.3299
Fe5 0.3047 0.8465 0.8166
Fe6 0.1535 0.6953 0.1834
Ni6 0.6160 0.6574 0.3942
P3 0.4697 0.4368 0.7570
P4 0.1921 0.2254 0.3396
# ΔH_f (0 K): -0.39 eV per atom
# Final energy: -7.085 eV/atom
# Theoretical density: 7.61 g cm⁻³

# Na6Sc2Ta6Si9S3O48 GGA-PBE optimized geometry
data_Na6Sc2Ta6Si9S3O48
_cell_length_a 17.8661
_cell_length_b 8.9557
_cell_length_c 22.8663
_cell_angle_alpha 90.09
_cell_angle_beta 89.86
_cell_angle_gamma 120.06
_symmetry_space_group_name_H-M 'P 1'
_symmetry_Int_Tables_number 1
_symmetry_space_group_name_Hall 'P 1'
loop_
_atom_site_label
_atom_site_fract_x
_atom_site_fract_y
_atom_site_fract_z
O1 0.7422 0.3668 0.1436
Ta1 0.1692 0.6794 0.8158
O2 0.0812 0.9751 0.9143
O3 0.8457 0.1671 0.7462
O4 0.2596 0.7033 0.2568
Na1 0.6614 0.6686 0.6624
S1 0.9796 0.6245 0.0826
Si1 0.5179 0.6639 0.4149
O5 0.0724 0.4946 0.5745
S2 0.1450 0.2908 0.7499
O6 0.6552 0.8335 0.9728
O7 0.5916 0.0182 0.5918
Si2 0.0194 0.3737 0.9149
Na2 0.3211 0.0126 0.2515
O8 0.8492 0.1670 0.0263
Ta2 0.4977 0.0026 0.1443
O9 0.7415 0.3283 0.7463
Na3 0.0027 0.0078 0.4996
O10 0.3394 0.1642 0.7495
O11 0.6071 0.0295 0.3016
O12 0.2553 0.8701 0.3619
Si3 0.3332 0.6239 0.5862
O13 0.7563 0.3668 0.4260
O14 0.0806 0.4611 0.2556
O15 0.7590 0.6916 0.2568
O16 0.4119 0.0231 0.0878
Si4 0.4796 0.3406 0.5819
O17 0.4201 0.8139 0.5923
O18 0.9162 0.0319 0.8070
Ta3 0.6691 0.6589 0.3174
O19 0.9025 0.9635 0.6936
Na4 0.8207 0.6299 0.7501
Na5 0.1862 0.0038 0.7446
Si5 0.6883 0.0411 0.5840
O20 0.2492 0.6352 0.8588
O21 0.7599 0.8162 0.7580
O22 0.7670 0.8346 0.4738
S3 0.4983 0.7139 0.7514
O23 0.1509 0.8207 0.2591
O24 0.7511 0.1441 0.9239
Si6 0.8111 0.9513 0.4166
O25 0.2316 0.3114 0.7438
O26 0.6571 0.4791 0.4741
O27 0.9074 0.9791 0.4069
O28 0.9167 0.5223 0.7441
O29 0.0849 0.6966 0.4735
O30 0.1769 0.8517 0.5719
Si7 0.1889 0.0435 0.5837
O31 0.0806 0.1904 0.4068
O32 0.5918 0.1599 0.0901
Si8 0.1876 0.3354 0.0837
O33 0.5847 0.4729 0.9738
O34 0.9868 0.1571 0.5922
Si9 0.6643 0.9489 0.9159
O35 0.8208 0.5272 0.6376
O36 0.6504 0.8388 0.2534
O37 0.8475 0.5432 0.5312
Na6 0.6706 0.6693 0.1647
Ta4 0.1646 0.6608 0.3136
Sc1 0.3292 0.3432 0.1877
O38 0.4420 0.3740 0.6407
Si10 0.5224 0.3828 0.9180
O39 0.6831 0.4949 0.3593
O40 0.1547 0.4763 0.4720
Si11 0.6885 0.3343 0.0837
Ta5 0.6618 0.6666 0.8106
S4 0.8323 0.6217 0.5834
O41 0.2337 0.3050 0.0254
Ta6 0.9998 0.9969 0.1450
O42 0.5698 0.5024 0.8603
O43 0.7562 0.6356 0.8630
O44 0.8198 0.1428 0.4225
O45 0.4080 0.8366 0.9083
Ta7 0.3306 0.3445 0.9762
Si12 0.8552 0.9991 0.7517
O46 0.8186 0.1302 0.1409
Ta8 0.5019 0.0156 0.8569
Si13 0.0221 0.6602 0.4184
O47 0.2556 0.1433 0.9272
O48 0.0892 0.6921 0.7558
O49 0.9879 0.8003 0.0884
O50 0.4902 0.7979 0.8048
O51 0.9204 0.0228 0.0918
O52 0.2401 0.1136 0.6446
O53 0.4147 0.5245 0.0275
Si14 0.6661 0.3718 0.4201
O54 0.5151 0.8184 0.6983
O55 0.0826 0.4774 0.9719
O56 0.9135 0.8005 0.5881
O57 0.2361 0.1685 0.5267
S5 0.9997 0.2854 0.2507
O58 0.5893 0.4871 0.2550
O59 0.9169 0.8148 0.3069
O60 0.6819 0.8611 0.8586
O61 0.5195 0.1983 0.1925
O62 0.6513 0.4791 0.7603
O63 0.0684 0.6498 0.0760
O64 0.7574 0.6484 0.5765
O65 0.9264 0.4943 0.4256
S6 0.6448 0.9993 0.2495
O66 0.0812 0.9708 0.1931
O67 0.3463 0.1492 0.0311
O68 0.1741 0.5051 0.0741
Ta9 0.6602 0.6643 0.0243
O69 0.4411 0.5123 0.1446
S7 0.8088 0.6636 0.9177
O70 0.0906 0.1617 0.0918
O71 0.4164 0.3107 0.2432
O72 0.0195 0.8407 0.6931
Si15 0.1651 0.9587 0.9201
O73 0.9874 0.8037 0.8066
O74 0.0945 0.0248 0.3067
O75 0.0668 0.4967 0.8570
Na7 0.6847 0.3699 0.2474
O76 0.7316 0.1534 0.2427
O77 0.9884 0.1819 0.3033
Si16 0.3569 0.0031 0.7501
O78 0.2450 0.3705 0.1403
Si17 0.4740 0.6203 0.0856
O79 0.7658 0.6863 0.9693
Ta10 0.6618 0.6693 0.5175
O80 0.6777 0.5030 0.0726
Si18 0.0001 0.7104 0.7510
O81 0.5821 0.1879 0.4128
O82 0.1823 0.8681 0.8605
O83 0.9276 0.3731 0.9264
O84 0.1812 0.5012 0.3587
O85 0.6785 0.8506 0.5733
O86 0.0697 0.6380 0.3596
O87 0.5104 0.8334 0.4124
Si19 0.5003 0.2913 0.2510
O88 0.9033 0.8336 0.1925
Na8 0.4933 0.6216 0.2498
Na9 0.8379 0.3440 0.3358
O89 0.1494 0.4624 0.7545
O90 0.0909 0.0218 0.5908
Si20 0.3128 0.6702 0.9143
Na10 0.1671 0.6582 0.1667
O91 0.2554 0.8640 0.0762
O92 0.2407 0.1537 0.2452
O93 0.4880 0.1647 0.5874
O94 0.4266 0.3577 0.9265
O95 0.8943 0.8162 0.9130
O96 0.8416 0.5163 0.2470
O97 0.1061 0.1851 0.8021
Na11 0.5047 0.9992 0.4971
O98 0.5804 0.9714 0.9082
O99 0.2654 0.8444 0.4685
Ta11 0.3343 0.3457 0.4821
O100 0.5956 0.1659 0.8075
O101 0.2524 0.3545 0.4232
O102 0.3454 0.5242 0.2457
O103 0.7401 0.3104 0.0274
O104 0.3935 0.9701 0.4120
O105 0.5783 0.5032 0.5738
O106 0.5132 0.1915 0.9104
O107 0.4172 0.3066 0.5249
O108 0.3491 0.5337 0.5268
S8 0.3316 0.0415 0.0833
O109 0.9257 0.5446 0.0302
O110 0.7461 0.1232 0.6404
O111 0.9152 0.3050 0.5275
Ta12 0.8302 0.3154 0.4767
Ta13 0.8286 0.3117 0.9779
O112 0.2514 0.6525 0.5714
Sc2 0.4985 0.9991 0.3569
O113 0.5675 0.6381 0.3564
Ta14 0.4986 0.0136 0.6400
O114 0.4256 0.4834 0.4226
Si21 0.8563 0.7108 0.2507
O115 0.3192 0.1120 0.1374
O116 0.8171 0.5059 0.9241
O117 0.9428 0.5234 0.1356
Sc3 0.8294 0.3159 0.6871
Si22 0.1681 0.3778 0.4167
O118 0.7499 0.8629 0.3587
O119 0.4168 0.8017 0.3061
S9 0.3085 0.9535 0.4174
Sc4 0.9986 0.9984 0.8557
O120 0.9415 0.3701 0.6450
O121 0.4166 0.0180 0.8073
O122 0.3197 0.4956 0.9224
Si23 0.8338 0.0416 0.0850
O123 0.3143 0.1238 0.4208
O124 0.7512 0.8511 0.0719
Na12 0.3383 0.3316 0.8323
O125 0.5894 0.9710 0.1961
O126 0.7344 0.1659 0.5258
O127 0.5799 0.6966 0.7576
O128 0.3131 0.5048 0.6424
O129 0.4872 0.8168 0.0919
O130 0.2594 0.8256 0.7582
Ta15 0.0019 0.9880 0.3588
O131 0.5725 0.6498 0.0742
O132 0.0093 0.1874 0.9140
Si24 0.1434 0.9975 0.2505
Ta16 0.1605 0.6548 0.5246
O133 0.0892 0.2088 0.6968
Ta17 0.9978 0.9923 0.6437
Sc5 0.3371 0.3314 0.6803
O134 0.4235 0.5402 0.7481
O135 0.5813 0.6887 0.4712
Sc6 0.8318 0.3355 0.1826
O136 0.9250 0.3095 0.2441
Si25 0.3548 0.7111 0.2517
O137 0.5814 0.1922 0.6933
Na13 0.5026 0.9975 0.9984
O138 0.1565 0.8347 0.9757
Ta18 0.1678 0.6581 0.0151
O139 0.0147 0.2077 0.1969
Na14 0.8308 0.3248 0.8272
Na15 0.0050 0.0135 0.9950
Na16 0.3304 0.3392 0.3318
Na17 0.9936 0.3647 0.7480
O140 0.2667 0.6956 0.9729
O141 0.4028 0.8411 0.1931
O142 0.4874 0.1705 0.3056
O143 0.0132 0.8340 0.4104
Na18 0.1723 0.6726 0.6632
Si26 0.6434 0.2863 0.7496
O144 0.4027 0.9712 0.6930
Si27 0.9741 0.3278 0.5857
# ΔH_f (0 K): -2.98 eV per atom
# Energy with MP2020 corrections: -0.6068 Ry/atom
# Final energy: -7.810 eV/atom
# Theoretical density: 3.82 g cm⁻³

# PrSiAs3 GGA-PBE optimized geometry
data_PrSiAs3
_cell_length_a 6.0232
_cell_length_b 26.6834
_cell_length_c 5.9528
_cell_angle_alpha 90.00
_cell_angle_beta 90.00
_cell_angle_gamma 90.00
_symmetry_space_group_name_H-M 'P 1'
_symmetry_Int_Tables_number 1
_symmetry_space_group_name_Hall 'P 1'
loop_
_atom_site_label
_atom_site_fract_x
_atom_site_fract_y
_atom_site_fract_z
Pr1 0.0206 0.0904 0.7552
Si1 0.6149 0.2081 0.8324
As1 0.5677 0.2126 0.2293
As2 0.5075 0.7093 0.2298
As3 0.2092 0.5018 0.9787
Pr2 0.9794 0.9096 0.2552
As4 0.9733 0.8781 0.7517
Si2 0.0560 0.7945 0.8331
As5 0.5267 0.3781 0.2517
As6 0.7908 0.4982 0.4787
As7 0.4733 0.6219 0.7517
As8 0.9925 0.2093 0.7298
As9 0.2908 0.0018 0.4787
As10 0.0075 0.7907 0.2298
As11 0.9844 0.6251 0.2516
As12 0.9323 0.7126 0.7293
Pr3 0.9780 0.5949 0.7546
Pr4 0.0220 0.4051 0.2546
Si3 0.8851 0.7081 0.3324
Pr5 0.5206 0.4096 0.7552
As13 0.0156 0.3749 0.7516
As14 0.2129 0.5015 0.5433
Si4 0.4440 0.2945 0.3331
As15 0.4925 0.2907 0.7298
As16 0.7871 0.4985 0.0433
Pr6 0.4794 0.5904 0.2552
As17 0.5156 0.1251 0.7516
Si5 0.9440 0.2055 0.3331
Pr7 0.5220 0.0949 0.2546
As18 0.0677 0.2874 0.2293
Pr8 0.4780 0.9051 0.7546
As19 0.0267 0.1219 0.2517
As20 0.7129 0.9985 0.5433
As21 0.4844 0.8749 0.2516
As22 0.2871 0.0015 0.0433
As23 0.7092 0.9982 0.9787
Si6 0.1149 0.2919 0.8324
Si7 0.3851 0.7919 0.3324
As24 0.4323 0.7874 0.7293
Si8 0.5560 0.7055 0.8331
# ΔH_f (0 K): -0.61 eV per atom
# Final energy: -5.445 eV/atom
# Theoretical density: 5.47 g cm⁻³